(1)
{
  "formula": "Sr2CrO4",
  "functional": "meta-GGA r2SCAN",
  "state": "optimized geometry",
  "sg": "Pna2_1 (33)",
  "m_tot_mub_per_cell": 16.00,
  "e_form_ev_per_atom": -2.8001,
  "lattice": [[-2.4019, 0.7096, 5.2429], [-1.8744, -9.8403, 0.4730], [12.6213, -2.1125, 6.0680]],
  "species": ["Sr", "Sr", "Sr", "Sr", "Sr", "Sr", "Sr", "Sr", "Sr", "Sr", "Sr", "Sr", "Sr", "Sr", "Sr", "Sr", "Cr", "Cr", "Cr", "Cr", "Cr", "Cr", "Cr", "Cr", "O", "O", "O", "O", "O", "O", "O", "O", "O", "O", "O", "O", "O", "O", "O", "O", "O", "O", "O", "O", "O", "O", "O", "O", "O", "O", "O", "O", "O", "O", "O", "O"],
  "frac_coords": [[0.7281, 0.7782, 0.0479], [0.2719, 0.2782, 0.9521], [0.7719, 0.7782, 0.5479], [0.2281, 0.2782, 0.4521], [0.6897, 0.4137, 0.1200], [0.3103, 0.9137, 0.8800], [0.8103, 0.4137, 0.6200], [0.1897, 0.9137, 0.3800], [0.6895, 0.1388, 0.2953], [0.3105, 0.6388, 0.7047], [0.8105, 0.1388, 0.7953], [0.1895, 0.6388, 0.2047], [0.7218, 0.5024, 0.3698], [0.2782, 0.0024, 0.6302], [0.7782, 0.5024, 0.8698], [0.2218, 0.0024, 0.1302], [0.1945, 0.2857, 0.2285], [0.8055, 0.7857, 0.7715], [0.3055, 0.2857, 0.7285], [0.6945, 0.7857, 0.2715], [0.2766, 0.6284, 0.4756], [0.7234, 0.1284, 0.5244], [0.2234, 0.6284, 0.9756], [0.7766, 0.1284, 0.0244], [0.0550, 0.5111, 0.4870], [0.9450, 0.0111, 0.5130], [0.4450, 0.5111, 0.9870], [0.5550, 0.0111, 0.0130], [0.5257, 0.5582, 0.5304], [0.4743, 0.0582, 0.4696], [0.9743, 0.5582, 0.0304], [0.0257, 0.0582, 0.9696], [0.9438, 0.8485, 0.2061], [0.0562, 0.3485, 0.7939], [0.5562, 0.8485, 0.7061], [0.4438, 0.3485, 0.2939], [0.2790, 0.7729, 0.0453], [0.7210, 0.2729, 0.9547], [0.2210, 0.7729, 0.5453], [0.7790, 0.2729, 0.4547], [0.6393, 0.6425, 0.1995], [0.3607, 0.1425, 0.8005], [0.8607, 0.6425, 0.6995], [0.1393, 0.1425, 0.3005], [0.3650, 0.6787, 0.3613], [0.6350, 0.1787, 0.6387], [0.1350, 0.6787, 0.8613], [0.8650, 0.1787, 0.1387], [0.3428, 0.2516, 0.1225], [0.6572, 0.7516, 0.8775], [0.1572, 0.2516, 0.6225], [0.8428, 0.7516, 0.3775], [0.9984, 0.4197, 0.2443], [0.0016, 0.9197, 0.7557], [0.5016, 0.4197, 0.7443], [0.4984, 0.9197, 0.2557]]
}



(2)
{
  "formula": "TaCrO4",
  "functional": "meta-GGA r2SCAN",
  "state": "optimized geometry",
  "sg": "I4_1md (109)",
  "m_tot_mub_per_cell": 6.00,
  "e_form_ev_per_atom": -2.8319,
  "lattice": [[-0.0001, 4.6582, 3.0138], [0.0001, 4.6582, -3.0138], [-4.6579, 0.0000, -3.0140]],
  "species": ["Ta", "Ta", "Cr", "Cr", "O", "O", "O", "O", "O", "O", "O", "O"],
  "frac_coords": [[0.2605, 0.2395, 0.5000], [0.0105, 0.9895, 0.0000], [0.7502, 0.7498, 0.5000], [0.5003, 0.4997, 0.0000], [0.5538, 0.2505, 0.8043], [0.0464, 0.7549, 0.8012], [0.9995, 0.3048, 0.6957], [0.4951, 0.8061, 0.6988], [0.9995, 0.6962, 0.3043], [0.4951, 0.2037, 0.3012], [0.9452, 0.2505, 0.1957], [0.4439, 0.7549, 0.1988]]
}



(3)
{
  "formula": "Cr2Te4O11",
  "functional": "meta-GGA r2SCAN",
  "state": "optimized geometry",
  "sg": "P2_1/c (14)",
  "m_tot_mub_per_cell": 12.00,
  "e_form_ev_per_atom": -1.4962,
  "lattice": [[7.5998, 0.0000, 0.0000], [0.0000, 6.9862, 0.0273], [0.0000, 1.6441, 9.6074]],
  "species": ["Cr", "Cr", "Cr", "Cr", "Te", "Te", "Te", "Te", "Te", "Te", "Te", "Te", "O", "O", "O", "O", "O", "O", "O", "O", "O", "O", "O", "O", "O", "O", "O", "O", "O", "O", "O", "O", "O", "O"],
  "frac_coords": [[0.4983, 0.6815, 0.3846], [0.9983, 0.3185, 0.1154], [0.5017, 0.3185, 0.6154], [0.0017, 0.6815, 0.8846], [0.1400, 0.8548, 0.1770], [0.6400, 0.1452, 0.3230], [0.8600, 0.1452, 0.8230], [0.3600, 0.8548, 0.6770], [0.1394, 0.3240, 0.4151], [0.6394, 0.6760, 0.0849], [0.8606, 0.6760, 0.5849], [0.3606, 0.3240, 0.9151], [0.3521, 0.8410, 0.4871], [0.8521, 0.1590, 0.0129], [0.6479, 0.1590, 0.5129], [0.1479, 0.8410, 0.9871], [0.3592, 0.4372, 0.4507], [0.8592, 0.5628, 0.0493], [0.6408, 0.5628, 0.5493], [0.1408, 0.4372, 0.9507], [0.6313, 0.5316, 0.2637], [0.1313, 0.4684, 0.2363], [0.3687, 0.4684, 0.7363], [0.8687, 0.5316, 0.7637], [0.6849, 0.8749, 0.3443], [0.1849, 0.1251, 0.1557], [0.3151, 0.1251, 0.6557], [0.8151, 0.8749, 0.8443], [0.3788, 0.7936, 0.2104], [0.8788, 0.2064, 0.2896], [0.6212, 0.2064, 0.7896], [0.1212, 0.7936, 0.7104], [0.0000, 0.5000, 0.5000], [0.5000, 0.5000, 0.0000]]
}